Record 1
A plane-wave DFT calculation with PBE with a Hubbard U was carried out for a geometry-optimized Li6Mn15O32 structure.

a = 5.8645 Å, b = 5.8919 Å, c = 19.4067 Å
α = 97.91°, β = 90.16°, γ = 118.85°
Last column: nearest neighbours and their distance in Å.
Sites, in units of the cell vectors:
Li (0.0000, 0.0000, 0.0000)  4 O 1.94-2.03
Li (0.0538, 0.1418, 0.1848)  4 O 1.94-2.02
Li (0.2417, 0.5101, 0.7479)  4 O 1.94-2.04
Li (0.3135, 0.6404, 0.9419)  4 O 1.93-2.09
Li (0.7394, 0.5011, 0.2432)  4 O 1.93-2.07
Li (0.8110, 0.6333, 0.4364)  4 O 1.94-2.04
Mn (0.0251, 0.0693, 0.5920)  6 O 1.96-2.16
Mn (0.0256, 0.5700, 0.0923)  6 O 1.91-2.01
Mn (0.0256, 0.5697, 0.5922)  6 O 1.93-1.96
Mn (0.1556, 0.3269, 0.4686)  6 O 1.93-1.99
Mn (0.2769, 0.5726, 0.3418)  6 O 1.93-1.98
Mn (0.2778, 0.0692, 0.3427)  6 O 1.92-1.99
Mn (0.2783, 0.0720, 0.8420)  6 O 1.95-2.15
Mn (0.3994, 0.8121, 0.2131)  4 O 1.82-1.97
Mn (0.5261, 0.5697, 0.5921)  6 O 1.93-1.96
Mn (0.5268, 0.0704, 0.0926)  6 O 1.91-1.99
Mn (0.6530, 0.3298, 0.9717)  4 O 1.82-1.97
Mn (0.7741, 0.0708, 0.3429)  6 O 1.93-2.10
Mn (0.7754, 0.0731, 0.8419)  6 O 1.93-1.99
Mn (0.7755, 0.5699, 0.8429)  6 O 1.92-1.97
Mn (0.8963, 0.8138, 0.7159)  6 O 1.93-1.99
O (0.0495, 0.6921, 0.7801)  3 Mn 1.93-2.15, 1 Li 1.95
O (0.0661, 0.1534, 0.7812)  3 Mn 1.97-1.99, 1 Li 2.04
O (0.1113, 0.2150, 0.2897)  3 Mn 1.95-2.08, 1 Li 2.02
O (0.1231, 0.7230, 0.2855)  3 Mn 1.95-2.07, 1 Li 2.07
O (0.1634, 0.9106, 0.6507)  3 Mn 1.93-1.96
O (0.2058, 0.4907, 0.1597)  2 Mn 1.82-1.92, 1 Li 1.94
O (0.2250, 0.9265, 0.1509)  3 Mn 1.96-2.01, 1 Li 2.01
O (0.2270, 0.4685, 0.6469)  2 Mn 1.93, 1 Li 1.94
O (0.3162, 0.6543, 0.5323)  3 Mn 1.93-1.96
O (0.3238, 0.2259, 0.5342)  3 Mn 1.93-1.98
O (0.3293, 0.7226, 0.0421)  2 Mn 1.91, 1 Li 1.93
O (0.3782, 0.1838, 0.0249)  2 Mn 1.82-1.93, 1 Li 1.96
O (0.4271, 0.4221, 0.4011)  3 Mn 1.98-1.99, 1 Li 2.03
O (0.4390, 0.9218, 0.3943)  3 Mn 1.92-2.05
O (0.4863, 0.9824, 0.8998)  3 Mn 1.93-2.09, 1 Li 2.06
O (0.5013, 0.4509, 0.9053)  3 Mn 1.92-2.15, 1 Li 1.98
O (0.5587, 0.7007, 0.2811)  3 Mn 1.93-2.10, 1 Li 2.00
O (0.5678, 0.1596, 0.2857)  3 Mn 1.92-2.10, 1 Li 2.06
O (0.6040, 0.2168, 0.7915)  3 Mn 1.93-2.00
O (0.6251, 0.7197, 0.7837)  3 Mn 1.97-1.99, 1 Li 2.03
O (0.6744, 0.9563, 0.1599)  2 Mn 1.82-1.92, 1 Li 1.97
O (0.7229, 0.4187, 0.1429)  2 Mn 1.91, 1 Li 1.93
O (0.7274, 0.9138, 0.6497)  3 Mn 1.93-1.97
O (0.7354, 0.4856, 0.6519)  3 Mn 1.93-1.96
O (0.8249, 0.6707, 0.5372)  2 Mn 1.93, 1 Li 1.94
O (0.8275, 0.2145, 0.0340)  3 Mn 1.97-2.00, 1 Li 2.02
O (0.8479, 0.6509, 0.0251)  2 Mn 1.82-1.91, 1 Li 1.94
O (0.8878, 0.2294, 0.5333)  3 Mn 1.93-1.97
O (0.9281, 0.4183, 0.8987)  3 Mn 1.94-2.07, 1 Li 2.09
O (0.9495, 0.9307, 0.8940)  3 Mn 1.96-2.03, 1 Li 2.03
O (0.9844, 0.9887, 0.4027)  3 Mn 1.96-1.99, 1 Li 2.04
O (0.9947, 0.4410, 0.4028)  3 Mn 1.94-2.09, 1 Li 1.96

Summary:
Distance to the lowest polymorph of the same formula = 0.00 eV/f.u.
ΔH_f (0 K) = -1937 meV per atom
V = 10.94 A^3/atom

---

Record 2
A plane-wave DFT calculation with PBE with a Hubbard U was carried out for a geometry-optimized Mg6FeCO8 structure.

a = 4.2277 Å, b = 4.2277 Å, c = 8.5837 Å
α = 90.00°, β = 90.00°, γ = 90.00°
Last column: nearest neighbours and their distance in Å.
Sites, in units of the cell vectors:
Mg (0.0000, 0.0000, 0.0000)  6 O 2.11-2.14
Mg (0.0000, 0.0000, 0.5000)  6 O 2.11-2.15
Mg (0.0000, 0.5000, 0.2425)  6 O 2.08-2.21
Mg (0.0000, 0.5000, 0.7575)  6 O 2.08-2.21
Mg (0.5000, 0.0000, 0.2425)  6 O 2.08-2.21
Mg (0.5000, 0.0000, 0.7575)  6 O 2.08-2.21
Fe (0.5000, 0.5000, 0.5000)  6 O 2.11-2.15
C (0.5000, 0.5000, 0.0000)  6 O 2.11-2.14
O (0.0000, 0.0000, 0.2495)  6 Mg 2.11-2.15
O (0.0000, 0.0000, 0.7505)  6 Mg 2.11-2.15
O (0.0000, 0.5000, 0.0000)  4 Mg 2.08-2.11, 2 C 2.11
O (0.0000, 0.5000, 0.5000)  2 Fe 2.11, 4 Mg 2.11-2.21
O (0.5000, 0.0000, 0.0000)  4 Mg 2.08-2.11, 2 C 2.11
O (0.5000, 0.0000, 0.5000)  2 Fe 2.11, 4 Mg 2.11-2.21
O (0.5000, 0.5000, 0.2495)  4 Mg 2.11, 1 C 2.14, 1 Fe 2.15
O (0.5000, 0.5000, 0.7505)  4 Mg 2.11, 1 C 2.14, 1 Fe 2.15

Summary:
Distance to the lowest polymorph of the same formula = 0.68 eV/f.u.
ΔH_f (0 K) = -2164 meV per atom
V = 9.59 A^3/atom

---

Record 3
A plane-wave DFT calculation with PBE with a Hubbard U was carried out for a geometry-optimized Li2VPO4F structure.

a = 10.7521 Å, b = 6.5106 Å, c = 11.1708 Å
α = 90.00°, β = 90.00°, γ = 90.00°
Last column: nearest neighbours and their distance in Å.
Sites, in units of the cell vectors:
Li (0.0266, 0.2500, 0.2293)  1 F 1.92, 3 O 2.05-2.13
Li (0.2312, 0.7500, 0.4158)  1 F 1.98, 4 O 2.11-2.22
Li (0.2397, 0.0059, 0.1679)  4 O 2.07-2.25
Li (0.2397, 0.4941, 0.1679)  4 O 2.07-2.25
Li (0.2603, 0.5059, 0.6679)  4 O 2.07-2.25
Li (0.2603, 0.9941, 0.6679)  4 O 2.07-2.25
Li (0.2688, 0.2500, 0.9158)  1 F 1.98, 4 O 2.11-2.22
Li (0.4734, 0.7500, 0.7293)  1 F 1.92, 3 O 2.05-2.13
Li (0.5266, 0.2500, 0.2707)  1 F 1.92, 3 O 2.05-2.13
Li (0.7312, 0.7500, 0.0842)  1 F 1.98, 4 O 2.11-2.22
Li (0.7397, 0.0059, 0.3321)  4 O 2.07-2.25
Li (0.7397, 0.4941, 0.3321)  4 O 2.07-2.25
Li (0.7603, 0.5059, 0.8321)  4 O 2.07-2.25
Li (0.7603, 0.9941, 0.8321)  4 O 2.07-2.25
Li (0.7688, 0.2500, 0.5842)  1 F 1.98, 4 O 2.11-2.22
Li (0.9734, 0.7500, 0.7707)  1 F 1.92, 3 O 2.05-2.13
V (0.0000, 0.0000, 0.0000)  4 O 2.13, 2 F 2.17
V (0.0000, 0.0000, 0.5000)  4 O 2.14-2.15, 2 F 2.16
V (0.0000, 0.5000, 0.0000)  4 O 2.13, 2 F 2.17
V (0.0000, 0.5000, 0.5000)  4 O 2.14-2.15, 2 F 2.16
V (0.5000, 0.0000, 0.0000)  4 O 2.14-2.15, 2 F 2.16
V (0.5000, 0.0000, 0.5000)  4 O 2.13, 2 F 2.17
V (0.5000, 0.5000, 0.0000)  4 O 2.14-2.15, 2 F 2.16
V (0.5000, 0.5000, 0.5000)  4 O 2.13, 2 F 2.17
P (0.0208, 0.2500, 0.7539)  4 O 1.55-1.56
P (0.2459, 0.2500, 0.4199)  4 O 1.55-1.56
P (0.2541, 0.7500, 0.9199)  4 O 1.55-1.56
P (0.4792, 0.7500, 0.2539)  4 O 1.55-1.56
P (0.5208, 0.2500, 0.7461)  4 O 1.55-1.56
P (0.7459, 0.2500, 0.0801)  4 O 1.55-1.56
P (0.7541, 0.7500, 0.5801)  4 O 1.55-1.56
P (0.9792, 0.7500, 0.2461)  4 O 1.55-1.56
O (0.0290, 0.7500, 0.3777)  1 P 1.56
O (0.0350, 0.5561, 0.1851)  1 P 1.55
O (0.0350, 0.9439, 0.1851)  1 P 1.55
O (0.1104, 0.7500, 0.9383)  1 P 1.56
O (0.1653, 0.2500, 0.7554)  1 P 1.55
O (0.1959, 0.0537, 0.4833)  1 P 1.56
O (0.1959, 0.4463, 0.4833)  1 P 1.56
O (0.2158, 0.2500, 0.2843)  1 P 1.55
O (0.2842, 0.7500, 0.7843)  1 P 1.55
O (0.3041, 0.5537, 0.9833)  1 P 1.56
O (0.3041, 0.9463, 0.9833)  1 P 1.56
O (0.3347, 0.7500, 0.2554)  1 P 1.55
O (0.3896, 0.2500, 0.4383)  1 P 1.56
O (0.4650, 0.0561, 0.6851)  1 P 1.55
O (0.4650, 0.4439, 0.6851)  1 P 1.55
O (0.4710, 0.2500, 0.8777)  1 P 1.56
O (0.5290, 0.7500, 0.1223)  1 P 1.56
O (0.5350, 0.5561, 0.3149)  1 P 1.55
O (0.5350, 0.9439, 0.3149)  1 P 1.55
O (0.6104, 0.7500, 0.5617)  1 P 1.56
O (0.6653, 0.2500, 0.7446)  1 P 1.55
O (0.6959, 0.0537, 0.0167)  1 P 1.56
O (0.6959, 0.4463, 0.0167)  1 P 1.56
O (0.7158, 0.2500, 0.2157)  1 P 1.55
O (0.7842, 0.7500, 0.7157)  1 P 1.55
O (0.8041, 0.5537, 0.5167)  1 P 1.56
O (0.8041, 0.9463, 0.5167)  1 P 1.56
O (0.8347, 0.7500, 0.2446)  1 P 1.55
O (0.8896, 0.2500, 0.0617)  1 P 1.56
O (0.9650, 0.0561, 0.8149)  1 P 1.55
O (0.9650, 0.4439, 0.8149)  1 P 1.55
O (0.9710, 0.2500, 0.6223)  1 P 1.56
F (0.0521, 0.7500, 0.6166)  1 Li 1.92
F (0.1290, 0.2500, 0.0313)  1 Li 1.98, 2 V 2.17
F (0.3710, 0.7500, 0.5313)  1 Li 1.98, 2 V 2.17
F (0.4479, 0.2500, 0.1166)  1 Li 1.92
F (0.5521, 0.7500, 0.8834)  1 Li 1.92
F (0.6290, 0.2500, 0.4687)  1 Li 1.98, 2 V 2.17
F (0.8710, 0.7500, 0.9687)  1 Li 1.98, 2 V 2.17
F (0.9479, 0.2500, 0.3834)  1 Li 1.92

Summary:
Distance to the lowest polymorph of the same formula = 0.00 eV/f.u.
ΔH_f (0 K) = -2746 meV per atom
V = 10.86 A^3/atom

---

Record 4
A plane-wave DFT calculation with PBE with a Hubbard U was carried out for a geometry-optimized Li4Fe5Ni3O16 structure.

a = 5.8620 Å, b = 5.8620 Å, c = 9.4544 Å
α = 90.49°, β = 90.49°, γ = 59.61°
Last column: nearest neighbours and their distance in Å.
Sites, in units of the cell vectors:
Li (0.0000, 0.0000, 0.0000)  4 O 1.79-1.95
Li (0.0042, 0.0042, 0.5035)  4 O 1.79-1.98
Li (0.3346, 0.3346, 0.6043)  4 O 1.94-2.00
Li (0.6625, 0.6625, 0.1005)  4 O 1.93-2.00
Fe (0.1683, 0.6595, 0.2824)  6 O 1.95-2.03
Fe (0.3286, 0.3286, 0.0075)  6 O 2.00-2.06
Fe (0.6595, 0.1683, 0.2824)  6 O 1.95-2.03
Fe (0.6660, 0.6660, 0.5090)  6 O 1.98-2.07
Fe (0.8282, 0.8282, 0.7820)  6 O 1.97-1.99
Ni (0.1694, 0.1694, 0.2848)  6 O 1.91-2.02
Ni (0.3386, 0.8294, 0.7838)  6 O 1.90-2.06
Ni (0.8294, 0.3386, 0.7838)  6 O 1.90-2.06
O (0.0028, 0.0028, 0.1893)  1 Li 1.79, 1 Ni 1.91, 2 Fe 1.95
O (0.0033, 0.0033, 0.6926)  1 Li 1.79, 2 Ni 1.90, 1 Fe 1.98
O (0.0343, 0.4797, 0.1536)  1 Li 1.94, 2 Fe 2.00-2.04, 1 Ni 2.01
O (0.1587, 0.6653, 0.8964)  1 Li 1.95, 2 Fe 1.99-2.00, 1 Ni 2.06
O (0.1600, 0.1600, 0.8957)  1 Li 1.91, 2 Ni 1.98, 1 Fe 2.01
O (0.3324, 0.3324, 0.3930)  1 Ni 1.94, 2 Fe 1.96, 1 Li 2.00
O (0.3319, 0.8322, 0.3991)  1 Li 1.93, 2 Fe 1.98-2.03, 1 Ni 2.02
O (0.4797, 0.0343, 0.1536)  1 Li 1.94, 2 Fe 2.00-2.04, 1 Ni 2.01
O (0.4798, 0.4798, 0.1542)  1 Li 1.93, 3 Fe 2.00-2.06
O (0.5194, 0.9630, 0.6551)  1 Li 1.94, 2 Fe 1.97-2.04, 1 Ni 2.02
O (0.5198, 0.5198, 0.6604)  1 Li 1.95, 2 Ni 1.95, 1 Fe 2.07
O (0.6615, 0.6615, 0.8886)  2 Ni 1.91, 1 Fe 1.98, 1 Li 2.00
O (0.6653, 0.1587, 0.8964)  1 Li 1.95, 2 Fe 1.99-2.00, 1 Ni 2.06
O (0.8322, 0.3319, 0.3991)  1 Li 1.93, 2 Fe 1.98-2.03, 1 Ni 2.02
O (0.8355, 0.8355, 0.3980)  1 Li 1.98, 3 Fe 2.01-2.03
O (0.9630, 0.5194, 0.6551)  1 Li 1.94, 2 Fe 1.97-2.04, 1 Ni 2.02

Summary:
ΔH_f (0 K) = -1417 meV per atom
V = 10.01 A^3/atom